Entry 1:
# Li3Mn4SnO8

Crystalline Li3Mn4SnO8 at its relaxed geometry (PBE with a Hubbard U, Materials Project).

Cell: 6.163 6.186 10.789 Å, 74.60 74.23 61.30°
Fractional positions:
Li1 0.750 0.750 0.250
Li2 0.250 0.250 0.750
Li3 0.994 0.486 0.015
Li4 0.507 0.013 0.485
Li5 0.989 0.498 0.504
Li6 0.511 0.002 0.996
Mn1 0.003 0.005 0.001
Mn2 0.497 0.495 0.500
Mn3 0.750 0.250 0.250
Mn4 0.250 0.750 0.750
Mn5 0.250 0.750 0.250
Mn6 0.750 0.250 0.750
Mn7 0.750 0.750 0.750
Mn8 0.250 0.250 0.250
Sn1 0.994 0.998 0.500
Sn2 0.506 0.502 0.000
O1 0.877 0.884 0.375
O2 0.412 0.371 0.869
O3 0.088 0.129 0.631
O4 0.623 0.616 0.125
O5 0.866 0.920 0.862
O6 0.380 0.372 0.365
O7 0.120 0.128 0.135
O8 0.633 0.580 0.638
O9 0.630 0.113 0.615
O10 0.141 0.617 0.114
O11 0.118 0.640 0.616
O12 0.615 0.142 0.118
O13 0.885 0.358 0.382
O14 0.382 0.860 0.884
O15 0.359 0.883 0.386
O16 0.870 0.387 0.885

Values from the calculation:
The magnetization comes out at 13.99 μB/f.u. The value obtained for the energy relative to the elements is -2.0835 eV/atom.



Entry 2:
# Li5Mn5Sn2O12

Crystalline Li5Mn5Sn2O12 at its relaxed geometry (PBE with a Hubbard U, Materials Project).

Cell: 5.392 5.392 10.262 Å, 85.10 85.10 119.69°
Fractional positions:
Li1 0.834 0.672 0.255
Li2 0.671 0.844 0.742
Li3 0.328 0.166 0.745
Li4 0.156 0.329 0.258
Li5 0.085 0.915 0.500
Mn1 0.919 0.081 0.000
Mn2 0.004 0.512 0.743
Mn3 0.488 0.996 0.257
Mn4 0.582 0.418 0.000
Mn5 0.422 0.578 0.500
Sn1 0.753 0.247 0.500
Sn2 0.252 0.748 0.000
O1 0.026 0.216 0.626
O2 0.784 0.974 0.374
O3 0.891 0.391 0.118
O4 0.609 0.109 0.882
O5 0.700 0.527 0.618
O6 0.473 0.300 0.382
O7 0.531 0.713 0.122
O8 0.287 0.469 0.878
O9 0.393 0.874 0.614
O10 0.126 0.607 0.386
O11 0.212 0.026 0.123
O12 0.974 0.788 0.877

Values from the calculation:
The magnetization comes out at 24.00 μB/f.u. The value obtained for the energy relative to the elements is -2.1095 eV/atom.



Entry 3:
# Li2Mn2SnO6

Crystalline Li2Mn2SnO6 at its relaxed geometry (PBE with a Hubbard U, Materials Project).

Cell: 5.284 5.284 10.334 Å, 90.00 90.00 116.35°
Fractional positions:
Li1 0.110 0.610 0.750
Li2 0.390 0.890 0.250
Li3 0.610 0.110 0.750
Li4 0.890 0.390 0.250
Mn1 0.337 0.663 0.000
Mn2 0.837 0.163 0.500
Mn3 0.163 0.837 0.500
Mn4 0.663 0.337 0.000
Sn1 0.000 0.000 0.000
Sn2 0.500 0.500 0.500
O1 0.160 0.160 0.592
O2 0.340 0.340 0.092
O3 0.660 0.660 0.908
O4 0.840 0.840 0.408
O5 0.053 0.693 0.112
O6 0.947 0.307 0.888
O7 0.193 0.553 0.388
O8 0.447 0.807 0.612
O9 0.307 0.947 0.888
O10 0.553 0.193 0.388
O11 0.807 0.447 0.612
O12 0.693 0.053 0.112

Values from the calculation:
The magnetization comes out at 0.00 μB/f.u. The value obtained for the energy relative to the elements is -2.0952 eV/atom.



Entry 4:
# Li5Mn3Sn2O10

Crystalline Li5Mn3Sn2O10 at its relaxed geometry (PBE with a Hubbard U, Materials Project).

Cell: 5.372 8.129 10.676 Å, 101.20 101.56 107.21°
Fractional positions:
Li1 0.500 0.500 0.250
Li2 0.500 0.500 0.750
Li3 0.907 0.401 0.115
Li4 0.907 0.401 0.615
Li5 0.093 0.599 0.385
Li6 0.093 0.599 0.885
Li7 0.283 0.779 0.198
Li8 0.283 0.779 0.698
Li9 0.717 0.221 0.302
Li10 0.717 0.221 0.802
Mn1 0.500 0.000 0.500
Mn2 0.891 0.897 0.846
Mn3 0.109 0.103 0.154
Mn4 0.500 0.000 0.000
Mn5 0.891 0.897 0.346
Mn6 0.109 0.103 0.654
Sn1 0.705 0.694 0.050
Sn2 0.705 0.694 0.550
Sn3 0.295 0.306 0.450
Sn4 0.295 0.306 0.950
O1 0.078 0.842 0.028
O2 0.078 0.842 0.528
O3 0.922 0.158 0.472
O4 0.922 0.158 0.972
O5 0.687 0.940 0.160
O6 0.687 0.940 0.660
O7 0.313 0.060 0.340
O8 0.313 0.060 0.840
O9 0.324 0.547 0.073
O10 0.324 0.547 0.573
O11 0.676 0.453 0.427
O12 0.676 0.453 0.927
O13 0.496 0.228 0.110
O14 0.496 0.228 0.610
O15 0.504 0.772 0.390
O16 0.504 0.772 0.890
O17 0.895 0.656 0.223
O18 0.895 0.656 0.723
O19 0.105 0.344 0.277
O20 0.105 0.344 0.777

Values from the calculation:
The calculation puts the energy above the most stable polymorph in this dataset at 0.0 kJ per mole of atoms. The magnetization comes out at 0.00 μB/f.u. The value obtained for the energy relative to the elements is -2.1456 eV/atom.



Entry 5:
# Li2Mn3SnO8

Crystalline Li2Mn3SnO8 at its relaxed geometry (PBE with a Hubbard U, Materials Project).

Cell: 6.071 10.295 6.235 Å, 103.37 58.60 87.86°
Fractional positions:
Li1 0.331 0.565 0.366
Li2 0.828 0.065 0.368
Li3 0.169 0.935 0.634
Li4 0.671 0.435 0.632
Mn1 0.250 0.750 0.000
Mn2 0.750 0.750 0.000
Mn3 0.250 0.250 0.000
Mn4 0.750 0.250 0.000
Mn5 0.002 0.501 0.000
Mn6 0.498 0.000 0.001
Sn1 0.750 0.750 0.500
Sn2 0.250 0.250 0.500
O1 0.110 0.640 0.808
O2 0.608 0.139 0.810
O3 0.391 0.860 0.192
O4 0.892 0.361 0.190
O5 0.900 0.863 0.235
O6 0.401 0.363 0.234
O7 0.128 0.636 0.235
O8 0.628 0.136 0.235
O9 0.665 0.632 0.233
O10 0.162 0.132 0.235
O11 0.835 0.868 0.767
O12 0.337 0.368 0.765
O13 0.372 0.864 0.766
O14 0.872 0.364 0.765
O15 0.600 0.637 0.765
O16 0.099 0.137 0.765

Values from the calculation:
The calculation puts the energy above the most stable polymorph in this dataset at 1.3 kJ per mole of atoms. The magnetization comes out at 0.00 μB/f.u. The value obtained for the energy relative to the elements is -2.0886 eV/atom.



Entry 6:
# Li2Mn3SnO8

Crystalline Li2Mn3SnO8 at its relaxed geometry (PBE with a Hubbard U, Materials Project).

Cell: 6.066 6.066 9.764 Å, 90.00 90.00 122.28°
Fractional positions:
Li1 0.157 0.843 0.104
Li2 0.495 0.505 0.008
Li3 0.505 0.495 0.508
Li4 0.843 0.157 0.604
Mn1 0.837 0.670 0.785
Mn2 0.330 0.163 0.785
Mn3 0.329 0.671 0.786
Mn4 0.671 0.329 0.286
Mn5 0.670 0.837 0.285
Mn6 0.163 0.330 0.285
Sn1 0.180 0.820 0.510
Sn2 0.820 0.180 0.010
O1 0.831 0.641 0.405
O2 0.026 0.974 0.661
O3 0.170 0.830 0.885
O4 0.494 0.506 0.696
O5 0.506 0.494 0.196
O6 0.359 0.169 0.405
O7 0.037 0.523 0.660
O8 0.477 0.963 0.660
O9 0.650 0.350 0.898
O10 0.350 0.650 0.398
O11 0.523 0.037 0.160
O12 0.963 0.477 0.160
O13 0.830 0.170 0.385
O14 0.641 0.831 0.905
O15 0.974 0.026 0.161
O16 0.169 0.359 0.905

Values from the calculation:
The calculation puts the energy above the most stable polymorph in this dataset at 0.0 kJ per mole of atoms. The magnetization comes out at 11.00 μB/f.u. The value obtained for the energy relative to the elements is -2.1020 eV/atom.



Entry 7:
# Li4Mn5SnO12

Crystalline Li4Mn5SnO12 at its relaxed geometry (PBE with a Hubbard U, Materials Project).

Cell: 5.230 5.230 10.310 Å, 89.53 89.53 118.10°
Fractional positions:
Li1 0.629 0.138 0.748
Li2 0.862 0.371 0.252
Li3 0.138 0.629 0.748
Li4 0.371 0.862 0.252
Mn1 0.836 0.164 0.500
Mn2 0.336 0.664 0.000
Mn3 0.664 0.336 0.000
Mn4 0.164 0.836 0.500
Mn5 0.500 0.500 0.500
Sn1 0.000 0.000 0.000
O1 0.686 0.045 0.113
O2 0.955 0.314 0.887
O3 0.533 0.171 0.394
O4 0.171 0.533 0.394
O5 0.829 0.467 0.606
O6 0.174 0.174 0.587
O7 0.467 0.829 0.606
O8 0.045 0.686 0.113
O9 0.340 0.340 0.096
O10 0.314 0.955 0.887
O11 0.660 0.660 0.904
O12 0.826 0.826 0.413

Values from the calculation:
The magnetization comes out at 19.00 μB/f.u. The value obtained for the energy relative to the elements is -2.0398 eV/atom.



Entry 8:
# Li3Mn4SnO8

Crystalline Li3Mn4SnO8 at its relaxed geometry (PBE with a Hubbard U, Materials Project).

Cell: 6.158 6.156 6.265 Å, 119.80 119.83 61.40°
Fractional positions:
Li1 0.000 0.000 0.500
Li2 0.000 0.500 0.000
Li3 0.500 0.000 0.000
Mn1 0.000 0.500 0.500
Mn2 0.500 0.999 0.500
Mn3 0.500 0.500 0.500
Mn4 0.000 0.000 0.000
Sn1 0.500 0.500 0.000
O1 0.258 0.258 0.746
O2 0.742 0.742 0.254
O3 0.750 0.749 0.734
O4 0.250 0.251 0.266
O5 0.253 0.733 0.232
O6 0.732 0.253 0.232
O7 0.267 0.747 0.768
O8 0.747 0.268 0.768

Values from the calculation:
The magnetization comes out at 0.02 μB/f.u. The value obtained for the energy relative to the elements is -2.0823 eV/atom.



Entry 9:
# Li4Mn3Sn2O10

Crystalline Li4Mn3Sn2O10 at its relaxed geometry (PBE with a Hubbard U, Materials Project).

Cell: 6.644 8.252 8.354 Å, 95.25 88.27 113.29°
Fractional positions:
Li1 0.898 0.218 0.310
Li2 0.192 0.604 0.396
Li3 0.743 0.520 0.239
Li4 0.257 0.480 0.761
Li5 0.808 0.396 0.604
Li6 0.102 0.782 0.690
Li7 0.693 0.613 0.912
Li8 0.307 0.387 0.088
Mn1 0.034 0.897 0.341
Mn2 0.966 0.103 0.659
Mn3 0.500 0.000 0.500
Mn4 0.000 0.000 0.000
Mn5 0.542 0.896 0.844
Mn6 0.458 0.104 0.156
Sn1 0.646 0.695 0.541
Sn2 0.354 0.305 0.459
Sn3 0.158 0.694 0.047
Sn4 0.842 0.306 0.953
O1 0.219 0.058 0.565
O2 0.067 0.324 0.540
O3 0.933 0.676 0.460
O4 0.613 0.232 0.393
O5 0.463 0.534 0.344
O6 0.781 0.942 0.435
O7 0.103 0.238 0.891
O8 0.307 0.867 0.260
O9 0.964 0.539 0.840
O10 0.693 0.133 0.740
O11 0.814 0.856 0.760
O12 0.537 0.466 0.656
O13 0.186 0.144 0.240
O14 0.387 0.768 0.607
O15 0.724 0.071 0.075
O16 0.036 0.461 0.160
O17 0.897 0.762 0.109
O18 0.574 0.333 0.059
O19 0.426 0.667 0.941
O20 0.276 0.929 0.925

Values from the calculation:
The magnetization comes out at 13.00 μB/f.u. The value obtained for the energy relative to the elements is -2.1001 eV/atom.



Entry 10:
# Li4Mn3SnO8

Crystalline Li4Mn3SnO8 at its relaxed geometry (PBE with a Hubbard U, Materials Project).

Cell: 6.144 6.145 10.393 Å, 105.31 74.68 119.03°
Fractional positions:
Li1 0.250 0.750 0.250
Li2 0.750 0.250 0.750
Li3 0.750 0.250 0.250
Li4 0.250 0.750 0.750
Li5 0.750 0.750 0.750
Li6 0.250 0.250 0.250
Li7 0.250 0.250 0.750
Li8 0.750 0.750 0.250
Mn1 0.000 0.000 0.500
Mn2 0.000 0.500 0.000
Mn3 0.500 0.000 0.000
Mn4 0.500 0.500 0.000
Mn5 0.500 0.000 0.500
Mn6 0.000 0.500 0.500
Sn1 0.500 0.500 0.500
Sn2 0.000 0.000 0.000
O1 0.348 0.652 0.898
O2 0.848 0.152 0.398
O3 0.152 0.848 0.602
O4 0.652 0.348 0.102
O5 0.890 0.111 0.866
O6 0.390 0.611 0.367
O7 0.610 0.389 0.634
O8 0.110 0.889 0.134
O9 0.869 0.613 0.387
O10 0.369 0.113 0.887
O11 0.387 0.131 0.387
O12 0.887 0.631 0.887
O13 0.631 0.887 0.113
O14 0.131 0.387 0.613
O15 0.113 0.369 0.113
O16 0.613 0.869 0.613

Values from the calculation:
The magnetization comes out at 0.00 μB/f.u. The value obtained for the energy relative to the elements is -2.1293 eV/atom.



Entry 11:
# Li4Mn3Sn5O16

Crystalline Li4Mn3Sn5O16 at its relaxed geometry (PBE with a Hubbard U, Materials Project).

Cell: 6.263 10.672 9.963 Å, 91.01 91.72 88.38°
Fractional positions:
Li1 0.995 0.332 0.896
Li2 0.495 0.832 0.896
Li3 0.482 0.494 0.987
Li4 0.982 0.994 0.987
Li5 0.499 0.500 0.494
Li6 0.999 0.999 0.495
Li7 0.497 0.166 0.402
Li8 0.997 0.666 0.402
Mn1 0.746 0.916 0.214
Mn2 0.500 0.331 0.712
Mn3 0.000 0.831 0.712
Mn4 0.247 0.415 0.214
Mn5 0.746 0.085 0.712
Mn6 0.246 0.585 0.712
Sn1 0.010 0.337 0.493
Sn2 0.510 0.837 0.493
Sn3 0.255 0.085 0.716
Sn4 0.755 0.585 0.716
Sn5 0.504 0.168 0.987
Sn6 0.004 0.668 0.987
Sn7 0.756 0.416 0.214
Sn8 0.256 0.916 0.214
Sn9 0.002 0.170 0.214
Sn10 0.502 0.670 0.214
O1 0.775 0.258 0.343
O2 0.275 0.758 0.343
O3 0.989 0.329 0.100
O4 0.489 0.830 0.100
O5 0.009 0.003 0.312
O6 0.509 0.503 0.312
O7 0.495 0.499 0.802
O8 0.995 0.998 0.802
O9 0.243 0.081 0.096
O10 0.743 0.581 0.096
O11 0.267 0.422 0.601
O12 0.767 0.922 0.601
O13 0.506 0.169 0.612
O14 0.006 0.669 0.612
O15 0.715 0.238 0.831
O16 0.215 0.738 0.831
O17 0.755 0.422 0.595
O18 0.255 0.922 0.595
O19 0.010 0.166 0.595
O20 0.510 0.666 0.595
O21 0.991 0.483 0.349
O22 0.491 0.983 0.349
O23 0.220 0.254 0.349
O24 0.720 0.754 0.349
O25 0.269 0.240 0.848
O26 0.769 0.740 0.848
O27 0.494 0.015 0.848
O28 0.994 0.515 0.848
O29 0.509 0.338 0.091
O30 0.009 0.838 0.091
O31 0.761 0.086 0.091
O32 0.261 0.586 0.091

Values from the calculation:
The magnetization comes out at 0.00 μB/f.u. The value obtained for the energy relative to the elements is -2.1388 eV/atom.